Entry 1:
VASP calculation (PBE) on NaDyIrO4 after structural relaxation.

## Properties
spin magnetization: 0.122 μB/atom

Cell: 3.2516 16.1042 9.6308 Å, 90.00 90.00 90.00°
Space group Amm2 (No. 38)
Asymmetric unit:
Na 0.0000 0.0000 0.0000 x2
Na 0.5000 0.1506 0.8703 x4
Dy 0.5000 0.0000 0.3184 x2
Dy 0.5000 0.1714 0.5346 x4
Ir 0.0000 0.0000 0.6880 x2
Ir 0.0000 0.1618 0.1855 x4
O 0.0000 0.0970 0.3742 x4
O 0.0000 0.1252 0.6809 x4
O 0.0000 0.2287 0.0083 x4
O 0.5000 0.0000 0.5581 x2
O 0.5000 0.0000 0.8182 x2
O 0.5000 0.0897 0.1242 x4
O 0.5000 0.2271 0.2473 x4


Entry 2:
VASP calculation (PBE) on Dy2NiIr after structural relaxation.

## Properties
spin magnetization: 0.003 μB/atom

Cell: 6.8237 6.8237 6.8237 Å, 90.00 90.00 90.00°
Space group Fm-3m (No. 225)
Asymmetric unit:
Dy 0.2500 0.2500 0.2500 x8
Ni 0.0000 0.0000 0.0000 x4
Ir 0.0000 0.0000 0.5000 x4


Entry 3:
VASP calculation (PBE) on Dy5P12Ir19 after structural relaxation.

Cell: 12.7229 12.7229 3.9792 Å, 90.00 90.00 120.00°
Space group P-62m (No. 189)
Asymmetric unit:
Dy 0.0000 0.8148 0.0000 x3
Dy 0.3333 0.6667 0.5000 x2
P 0.0000 0.1780 0.5000 x3
P 0.0000 0.6422 0.5000 x3
P 0.1712 0.4827 0.0000 x6
Ir 0.0000 0.0000 0.5000 x1
Ir 0.0000 0.2844 0.0000 x3
Ir 0.0000 0.4627 0.5000 x3
Ir 0.1328 0.6389 0.0000 x6
Ir 0.1810 0.3754 0.5000 x6


ΔH_f (0 K) in eV/atom, matching the order above: -2.332 -0.656 -0.807